Entry 1:
The following is a DFT calculation (r2SCAN) of a relaxed Yb3Ni crystal.

## Properties
Raw total energy: -491.01 eV per cell
Formation enthalpy at 0 K: -295.8 meV per atom
Calculated density: 10.0 g/cm³
Spin magnetization: 0.31 μB per formula unit

a = 6.160 Å, b = 6.673 Å, c = 9.373 Å
α = 90.00°, β = 90.00°, γ = 90.00°
Atoms (fractional coordinates):
Ni  0.451  0.394  0.250
Yb  0.182  0.178  0.433
Ni  0.549  0.606  0.750
Ni  0.951  0.106  0.750
Yb  0.818  0.822  0.933
Yb  0.862  0.535  0.250
Yb  0.638  0.035  0.250
Yb  0.362  0.965  0.750
Yb  0.318  0.678  0.067
Ni  0.049  0.894  0.250
Yb  0.182  0.178  0.067
Yb  0.318  0.678  0.433
Yb  0.818  0.822  0.567
Yb  0.138  0.465  0.750
Yb  0.682  0.322  0.567
Yb  0.682  0.322  0.933


Entry 2:
The following is a DFT calculation (r2SCAN) of a relaxed Er3Pt crystal.

## Properties
Raw total energy: -625.95 eV per cell
Formation enthalpy at 0 K: -805.8 meV per atom
Calculated density: 10.9 g/cm³
Spin magnetization: 0.38 μB per formula unit

a = 6.393 Å, b = 6.963 Å, c = 9.504 Å
α = 90.00°, β = 90.01°, γ = 90.00°
Atoms (fractional coordinates):
Pt  0.951  0.114  0.750
Er  0.132  0.473  0.750
Er  0.681  0.324  0.938
Er  0.681  0.324  0.562
Er  0.181  0.176  0.062
Er  0.819  0.824  0.562
Pt  0.451  0.386  0.250
Er  0.319  0.676  0.438
Er  0.819  0.824  0.938
Er  0.868  0.527  0.250
Er  0.632  0.027  0.250
Er  0.319  0.676  0.062
Pt  0.549  0.614  0.750
Pt  0.049  0.886  0.250
Er  0.181  0.176  0.438
Er  0.368  0.973  0.750


Entry 3:
The following is a DFT calculation (r2SCAN) of a relaxed LaYbS3 crystal.

## Properties
Raw total energy: -205.46 eV per cell
Formation enthalpy at 0 K: -2470.6 meV per atom
Calculated density: 5.7 g/cm³
Spin magnetization: 0.00 μB per formula unit

a = 6.620 Å, b = 6.620 Å, c = 9.548 Å
α = 90.00°, β = 90.00°, γ = 145.52°
Atoms (fractional coordinates):
S  0.360  0.640  0.061
La  0.746  0.254  0.250
S  0.640  0.360  0.561
S  0.640  0.360  0.939
S  0.083  0.917  0.250
S  0.917  0.083  0.750
Yb  0.000  0.000  0.500
S  0.360  0.640  0.439
La  0.254  0.746  0.750
Yb  0.000  0.000  0.000


Entry 4:
The following is a DFT calculation (r2SCAN) of a relaxed Fe9Co7 crystal.

## Properties
Raw total energy: -225.60 eV per cell
Formation enthalpy at 0 K: -202.3 meV per atom
Calculated density: 8.3 g/cm³
Spin magnetization: 38.45 μB per formula unit

a = 5.673 Å, b = 5.673 Å, c = 5.673 Å
α = 90.00°, β = 90.00°, γ = 90.00°
Atoms (fractional coordinates):
Fe  0.500  0.500  0.500
Fe  0.750  0.250  0.250
Co  0.500  0.000  0.000
Co  0.500  0.000  0.500
Co  0.000  0.000  0.000
Fe  0.250  0.250  0.750
Co  0.000  0.000  0.500
Fe  0.750  0.750  0.750
Fe  0.250  0.250  0.250
Co  0.500  0.500  0.000
Co  0.000  0.500  0.500
Fe  0.250  0.750  0.750
Fe  0.750  0.250  0.750
Co  0.000  0.500  0.000
Fe  0.250  0.750  0.250
Fe  0.750  0.750  0.250


Entry 5:
The following is a DFT calculation (r2SCAN) of a relaxed Mg2MnGa3 crystal.

## Properties
Raw total energy: -117.29 eV per cell
Formation enthalpy at 0 K: -215.6 meV per atom
Calculated density: 5.1 g/cm³
Spin magnetization: 2.70 μB per formula unit

a = 5.135 Å, b = 5.135 Å, c = 8.503 Å
α = 90.00°, β = 90.00°, γ = 115.24°
Atoms (fractional coordinates):
Mg  0.326  0.674  0.934
Mg  0.674  0.326  0.434
Mg  0.674  0.326  0.066
Ga  0.652  0.820  0.250
Ga  0.000  0.000  0.000
Ga  0.820  0.652  0.750
Ga  0.180  0.348  0.250
Ga  0.000  0.000  0.500
Mn  0.165  0.835  0.250
Mn  0.835  0.165  0.750
Ga  0.348  0.180  0.750
Mg  0.326  0.674  0.566


Entry 6:
The following is a DFT calculation (r2SCAN) of a relaxed InBr crystal.

## Properties
Raw total energy: -74.74 eV per cell
Formation enthalpy at 0 K: -765.2 meV per atom
Calculated density: 5.0 g/cm³
Spin magnetization: 0.00 μB per formula unit

a = 4.589 Å, b = 4.602 Å, c = 6.573 Å
α = 90.00°, β = 110.43°, γ = 90.00°
Atoms (fractional coordinates):
Br  0.849  0.250  0.697
Br  0.151  0.750  0.303
In  0.393  0.750  0.787
In  0.607  0.250  0.213


Entry 7:
The following is a DFT calculation (r2SCAN) of a relaxed Nd3Sc crystal.

## Properties
Raw total energy: -198.92 eV per cell
Formation enthalpy at 0 K: 47.5 meV per atom
Calculated density: 6.0 g/cm³
Spin magnetization: 0.43 μB per formula unit

a = 7.347 Å, b = 7.347 Å, c = 5.673 Å
α = 90.00°, β = 90.00°, γ = 120.00°
Atoms (fractional coordinates):
Nd  0.171  0.829  0.250
Nd  0.171  0.342  0.250
Nd  0.829  0.658  0.750
Sc  0.333  0.667  0.750
Sc  0.667  0.333  0.250
Nd  0.658  0.829  0.250
Nd  0.342  0.171  0.750
Nd  0.829  0.171  0.750


Entry 8:
The following is a DFT calculation (r2SCAN) of a relaxed K4Sn3Se8 crystal.

## Properties
Raw total energy: -453.82 eV per cell
Formation enthalpy at 0 K: -940.3 meV per atom
Calculated density: 3.9 g/cm³
Spin magnetization: 0.00 μB per formula unit

a = 14.599 Å, b = 14.599 Å, c = 8.284 Å
α = 90.00°, β = 90.00°, γ = 146.92°
Atoms (fractional coordinates):
Se  0.601  0.723  0.162
Sn  0.626  0.374  0.000
Se  0.508  0.854  0.820
K  0.267  0.733  0.500
K  0.105  0.895  0.000
Sn  0.374  0.626  0.000
Se  0.854  0.508  0.180
Se  0.277  0.399  0.838
Se  0.992  0.646  0.680
K  0.605  0.395  0.500
Se  0.777  0.899  0.662
Se  0.101  0.223  0.338
Sn  0.500  0.500  0.000
Se  0.008  0.354  0.680
Se  0.354  0.008  0.320
K  0.733  0.267  0.500
Se  0.223  0.101  0.662
Sn  0.874  0.126  0.500
Se  0.492  0.146  0.820
K  0.233  0.767  0.000
Sn  0.126  0.874  0.500
Se  0.399  0.277  0.162
Se  0.646  0.992  0.320
Se  0.899  0.777  0.338
K  0.767  0.233  0.000
Sn  0.000  0.000  0.500
K  0.895  0.105  0.000
Se  0.146  0.492  0.180
K  0.395  0.605  0.500
Se  0.723  0.601  0.838